Zn3Fe2Cu10Sn5Se20 | GGA-PBE | relaxed

Energy relative to the elements: -22.78 eV/f.u.
Magnetic moment: 15.691 μB/cell
E_tot: -4.125 eV/atom

Unit cell a=12.853 b=5.769 c=25.802 alpha=90.00 beta=90.35 gamma=90.00
Space group C2 (No. 5)
Symmetry-distinct sites (fractional):
Zn  0.000  0.000  0.000 x2
Zn  0.200  0.000  0.800 x4
Fe  0.100  0.500  0.400 x4
Cu  0.000  0.499  0.250 x4
Cu  0.100  0.000  0.150 x4
Cu  0.100  0.001  0.650 x4
Cu  0.200  0.500  0.050 x4
Cu  0.200  0.500  0.550 x4
Sn  0.000  0.999  0.500 x2
Sn  0.100  0.500  0.900 x4
Sn  0.200  0.000  0.300 x4
Se  0.040  0.267  0.327 x4
Se  0.043  0.240  0.821 x4
Se  0.053  0.731  0.580 x4
Se  0.060  0.760  0.075 x4
Se  0.139  0.762  0.725 x4
Se  0.143  0.738  0.220 x4
Se  0.157  0.240  0.979 x4
Se  0.161  0.268  0.473 x4
Se  0.239  0.260  0.125 x4
Se  0.247  0.232  0.620 x4

La3LuSe6 | GGA-PBE | relaxed

Energy relative to the elements: -22.82 eV/f.u.
E_tot: -6.030 eV/atom

Unit cell a=14.808 b=17.787 c=4.204 alpha=90.00 beta=90.00 gamma=90.00
Space group Pnnm (No. 58)
Symmetry-distinct sites (fractional):
La  0.049  0.219  0.000 x4
La  0.181  0.651  0.000 x4
La  0.248  0.900  0.500 x4
Lu  0.000  0.000  0.500 x2
Lu  0.000  0.500  0.500 x2
Se  0.023  0.395  0.000 x4
Se  0.091  0.922  0.000 x4
Se  0.105  0.754  0.500 x4
Se  0.125  0.110  0.500 x4
Se  0.187  0.290  0.500 x4
Se  0.187  0.523  0.500 x4

LiTl6Si2O7 | GGA-PBE | relaxed

Energy relative to the elements: -27.49 eV/f.u.
Energy relative to the lowest polymorph listed for this composition: 0.017 eV/atom
Magnetic moment: 1.010 μB/cell
E_tot: -5.266 eV/atom

Unit cell a=5.226 b=9.027 c=9.072 alpha=117.13 beta=92.15 gamma=91.24
Space group P1 (No. 1)
Symmetry-distinct sites (fractional):
Li  0.000  0.000  0.000 x1
Tl  0.220  0.535  0.441 x1
Tl  0.272  0.692  0.940 x1
Tl  0.275  0.009  0.701 x1
Tl  0.626  0.218  0.209 x1
Tl  0.694  0.801  0.311 x1
Tl  0.703  0.301  0.642 x1
Si  0.186  0.079  0.346 x1
Si  0.723  0.728  0.690 x1
O  0.255  0.003  0.148 x1
O  0.293  0.957  0.424 x1
O  0.338  0.266  0.441 x1
O  0.713  0.862  0.617 x1
O  0.789  0.538  0.566 x1
O  0.823  0.800  0.881 x1
O  0.873  0.097  0.366 x1

Dy11In6Si4 | GGA-PBE | relaxed

Energy relative to the elements: -12.26 eV/f.u.
E_tot: -4.830 eV/atom

Unit cell a=11.498 b=11.498 c=16.184 alpha=90.00 beta=90.00 gamma=90.00
Space group I4/mmm (No. 139)
Symmetry-distinct sites (fractional):
Dy  0.000  0.000  0.169 x4
Dy  0.000  0.250  0.316 x16
Dy  0.000  0.348  0.101 x16
Dy  0.168  0.168  0.500 x8
In  0.129  0.129  0.000 x8
In  0.206  0.206  0.171 x16
Si  0.000  0.000  0.384 x4
Si  0.000  0.347  0.500 x8
Si  0.000  0.500  0.250 x4

LiTa3O8 | GGA-PBE | relaxed

Energy relative to the elements: -38.59 eV/f.u.
Energy relative to the lowest polymorph listed for this composition: 0.038 eV/atom
Magnetic moment: 0.000 μB/cell
E_tot: -9.180 eV/atom

Unit cell a=17.162 b=3.911 c=8.986 alpha=90.00 beta=90.00 gamma=90.00
Space group Pmma (No. 51)
Symmetry-distinct sites (fractional):
Li  0.114  0.000  0.066 x4
Ta  0.059  0.500  0.808 x4
Ta  0.132  0.500  0.397 x4
Ta  0.250  0.500  0.054 x2
Ta  0.250  0.500  0.688 x2
O  0.000  0.500  0.000 x2
O  0.023  0.500  0.330 x4
O  0.067  0.000  0.843 x4
O  0.131  0.500  0.621 x4
O  0.132  0.000  0.393 x4
O  0.158  0.500  0.179 x4
O  0.176  0.500  0.878 x4
O  0.250  0.000  0.060 x2
O  0.250  0.000  0.693 x2
O  0.250  0.500  0.454 x2

MgSi | GGA-PBE | relaxed

Energy relative to the elements: 0.16 eV/f.u.
Magnetic moment: 0.002 μB/cell
E_tot: -3.471 eV/atom

Unit cell a=5.560 b=5.935 c=13.817 alpha=82.20 beta=85.30 gamma=89.50
Space group P1 (No. 1)
Symmetry-distinct sites (fractional):
Mg  0.000  0.000  0.000 x1
Mg  0.020  0.487  0.339 x1
Mg  0.196  0.988  0.326 x1
Mg  0.281  0.753  0.528 x1
Mg  0.313  0.213  0.662 x1
Mg  0.418  0.943  0.852 x1
Mg  0.545  0.440  0.860 x1
Mg  0.578  0.416  0.195 x1
Mg  0.719  0.916  0.195 x1
Mg  0.751  0.689  0.662 x1
Mg  0.841  0.232  0.532 x1
Mg  0.904  0.499  0.003 x1
Si  0.060  0.323  0.830 x1
Si  0.122  0.652  0.153 x1
Si  0.136  0.236  0.150 x1
Si  0.250  0.668  0.725 x1
Si  0.340  0.267  0.465 x1
Si  0.471  0.756  0.040 x1
Si  0.491  0.167  0.038 x1
Si  0.520  0.624  0.365 x1
Si  0.679  0.128  0.364 x1
Si  0.785  0.167  0.728 x1
Si  0.809  0.773  0.464 x1
Si  0.920  0.803  0.830 x1

Ho3Cu4Sn4 | GGA-PBE | relaxed

Energy relative to the elements: -5.47 eV/f.u.
E_tot: -4.696 eV/atom

Unit cell a=16.205 b=4.462 c=6.940 alpha=90.00 beta=115.20 gamma=90.00
Space group C2/m (No. 12)
Symmetry-distinct sites (fractional):
Ho  0.000  0.000  0.000 x2
Ho  0.131  0.000  0.635 x4
Cu  0.167  0.500  0.980 x4
Cu  0.177  0.500  0.368 x4
Sn  0.003  0.500  0.300 x4
Sn  0.215  0.000  0.208 x4

Eu2Ni12P5 | GGA-PBE | relaxed

Energy relative to the elements: -12.10 eV/f.u.
Magnetic moment: 0.660 μB/cell
E_tot: -6.792 eV/atom

Unit cell a=10.886 b=3.666 c=13.223 alpha=90.00 beta=107.98 gamma=90.00
Space group P2_1/m (No. 11)
Symmetry-distinct sites (fractional):
Eu  0.220  0.250  0.183 x2
Eu  0.252  0.250  0.688 x2
Ni  0.062  0.750  0.296 x2
Ni  0.078  0.750  0.990 x2
Ni  0.081  0.750  0.490 x2
Ni  0.094  0.750  0.805 x2
Ni  0.201  0.250  0.418 x2
Ni  0.213  0.250  0.939 x2
Ni  0.344  0.750  0.061 x2
Ni  0.344  0.750  0.365 x2
Ni  0.428  0.250  0.514 x2
Ni  0.434  0.250  0.949 x2
Ni  0.490  0.750  0.651 x2
Ni  0.494  0.750  0.841 x2
P  0.006  0.250  0.878 x2
P  0.009  0.750  0.629 x2
P  0.299  0.750  0.516 x2
P  0.311  0.750  0.887 x2
P  0.449  0.750  0.240 x2